Entry 1:
The following is a PBE calculation of a relaxed P10Au7I crystal, from the Materials Project.

## Properties
E_tot (eV/atom): -4.5035
E_form (eV per atom): -0.159
ΔE to the lowest computed polymorph (eV/atom): 0.000
Crystal system: trigonal
V (Å³/atom): 21.4
Space group: No. 162

a = 6.279 Å, b = 6.279 Å, c = 11.267 Å
α = 90.00°, β = 90.00°, γ = 120.00°
Positions (direct):
I1 0.000 0.000 0.500
P1 0.376 0.000 0.199
P2 0.376 0.376 0.801
P3 0.333 0.667 0.708
P4 0.624 0.624 0.199
P5 0.000 0.624 0.801
P6 0.333 0.667 0.292
P7 0.624 0.000 0.801
P8 0.667 0.333 0.708
P9 0.667 0.333 0.292
P10 0.000 0.376 0.199
Au1 0.000 0.000 0.225
Au2 0.667 0.333 0.500
Au3 0.500 0.000 0.000
Au4 0.000 0.000 0.775
Au5 0.000 0.500 0.000
Au6 0.333 0.667 0.500
Au7 0.500 0.500 0.000



Entry 2:
The following is a PBE calculation of a relaxed P10Au7I crystal, from the Materials Project.

## Properties
E_tot (eV/atom): -4.4891
E_form (eV per atom): -0.145
Magnetic moment (μB per cell): 0.0
ΔE to the lowest computed polymorph (eV/atom): 0.014
Crystal system: hexagonal
V (Å³/atom): 21.5
Space group: No. 189

a = 6.266 Å, b = 6.266 Å, c = 11.401 Å
α = 90.00°, β = 90.00°, γ = 120.00°
Positions (direct):
I1 0.000 0.000 0.500
Au1 0.000 0.454 0.000
Au2 0.000 0.000 0.231
Au3 0.000 0.000 0.769
Au4 0.546 0.546 0.000
Au5 0.454 0.000 0.000
Au6 0.333 0.667 0.500
Au7 0.667 0.333 0.500
P1 0.333 0.667 0.294
P2 0.333 0.667 0.706
P3 0.623 0.623 0.203
P4 0.667 0.333 0.294
P5 0.000 0.377 0.203
P6 0.623 0.623 0.797
P7 0.377 0.000 0.797
P8 0.667 0.333 0.706
P9 0.000 0.377 0.797
P10 0.377 0.000 0.203



Entry 3:
The following is a PBE calculation of a relaxed Rb3Au3I8 crystal, from the Materials Project.

## Properties
E_tot (eV/atom): -2.4969
E_form (eV per atom): -0.931
Magnetic moment (μB per cell): 0.0
Crystal system: monoclinic
V (Å³/atom): 43.7
Space group: No. 15

a = 8.094 Å, b = 8.094 Å, c = 20.732 Å
α = 84.28°, β = 84.28°, γ = 65.21°
Positions (direct):
Au1 0.384 0.380 0.811
Au2 0.380 0.384 0.311
Au3 0.620 0.616 0.689
Au4 0.000 0.000 0.500
Au5 0.000 0.000 0.000
Au6 0.616 0.620 0.189
Rb1 0.677 0.686 0.415
Rb2 0.323 0.314 0.585
Rb3 0.016 0.984 0.750
Rb4 0.314 0.323 0.085
Rb5 0.686 0.677 0.915
Rb6 0.984 0.016 0.250
I1 0.152 0.212 0.435
I2 0.501 0.904 0.755
I3 0.673 0.244 0.877
I4 0.293 0.841 0.573
I5 0.499 0.096 0.245
I6 0.159 0.707 0.927
I7 0.327 0.756 0.123
I8 0.096 0.499 0.745
I9 0.756 0.327 0.623
I10 0.841 0.293 0.073
I11 0.904 0.501 0.255
I12 0.707 0.159 0.427
I13 0.788 0.848 0.065
I14 0.848 0.788 0.565
I15 0.244 0.673 0.377
I16 0.212 0.152 0.935